1.
This record from the Materials Project describes a relaxed V3Fe2CuP6O24 crystal. The functional is PBE with a Hubbard U.

```
V3Fe2CuP6O24
1.0
4.3202 2.4943 6.8431
-4.3202 2.4943 6.8431
0.0000 -4.9885 6.8431
V Fe Cu P O
3 2 1 6 24
Cartesian
0.0000 0.0000 0.0000
0.0000 0.0000 4.4181
0.0000 0.0000 10.3033
0.0000 0.0000 7.3419
0.0000 0.0000 17.5612
0.0000 0.0000 14.6632
-1.2634 -2.8000 9.0788
-2.5324 -0.0055 12.5207
-1.7932 2.4942 9.0788
1.2710 -2.1904 12.5208
3.0566 0.3059 9.0789
1.2614 2.1959 12.5208
-0.8312 -3.5590 7.7942
-1.4990 -0.0881 5.7271
-3.4567 -1.2639 12.3413
-0.7166 -3.5213 10.3322
-2.6666 2.4993 7.7942
-0.5969 -1.3838 8.9366
0.8258 -1.2541 5.7271
-2.6912 2.3813 10.3322
-1.6527 -0.0059 11.2319
-0.9000 1.2089 8.9366
0.6732 1.3422 5.7271
-1.7656 0.0229 13.8064
0.8314 -1.4284 11.2319
-0.9273 -1.2611 16.1263
1.4969 0.1750 8.9366
0.8630 -1.5405 13.8064
0.8213 1.4342 11.2319
2.8229 -2.3616 12.3413
-0.6285 1.4337 16.1263
3.4978 1.0597 7.7942
0.9027 1.5176 13.8064
0.6338 3.6255 12.3413
1.5558 -0.1726 16.1263
3.4079 1.1400 10.3322
```

Summary:
Corrected total energy (MP2020 scheme)   -284.3 eV/f.u.
E_tot   -7.172 eV/atom
Total moment   12.95 Bohr magnetons per cell
ΔH_f (0 K)   -8180 kJ/mol of formula units

=====

2.
This record from the Materials Project describes a relaxed Li9Co7O16 crystal. The functional is PBE with a Hubbard U.

```
Li9Co7O16
1.0
2.9418 0.0000 0.0000
-0.3259 10.0248 0.0000
-0.1825 -3.1662 9.6856
Li Co O
9 7 16
Cartesian
0.0000 0.0000 0.0000
-0.1259 1.7371 2.4124
-0.1952 0.1012 7.2618
1.2547 4.2244 2.4338
1.4229 -0.7776 2.3801
1.0105 7.6362 7.3054
1.1786 2.6342 7.2517
2.6286 6.7574 2.4237
2.5593 5.1216 7.2731
-0.0913 -1.5831 4.8428
-0.1630 5.0124 0.0000
-0.2542 3.4293 4.8428
1.0269 4.4308 9.6820
1.2986 0.9276 4.8416
1.1348 5.9310 4.8439
1.4065 2.4278 0.0035
-0.1094 0.0991 3.6977
-0.2682 5.1319 3.6969
-0.1126 -1.4348 8.5742
-0.2669 3.4042 8.6065
1.2102 5.9301 1.0141
1.2556 2.5910 3.7114
1.3077 -0.7596 5.9639
1.3970 1.0750 1.1040
1.0363 5.7836 8.5816
1.1257 7.6182 3.7217
1.1778 4.2676 5.9742
1.2232 0.9286 8.6714
2.7003 3.4545 1.0791
2.5460 8.2934 1.1113
2.7015 1.7267 5.9887
2.5428 6.7595 5.9879
```

Summary:
Corrected total energy (MP2020 scheme)   -199.8 eV/f.u.
E_tot   -5.542 eV/atom
Total moment   2.00 Bohr magnetons per cell
ΔH_f (0 K)   -5180 kJ/mol of formula units
E above lowest polymorph   77.6 meV per atom